Version i
{"formula": "LiPr2Br2O4", "functional": "PBE-GGA", "state": "optimized geometry", "total_magnetization_mub_per_cell": 1.0, "lattice_angstrom": [[-3.0693, 1.1166, 2.7494], [3.0106, 5.2893, 1.2127], [-4.8728, 0.0817, -5.4729]], "species": ["Li", "Pr", "Pr", "Br", "Br", "O", "O", "O", "O"], "fractional_positions": [[0.7500, 0.5517, 0.1637], [0.7500, 0.1961, 0.3825], [0.2500, 0.8664, 0.6295], [0.7500, 0.7474, 0.9366], [0.2500, 0.2917, 0.0683], [0.7500, 0.6035, 0.4449], [0.2500, 0.2347, 0.5500], [0.7500, 0.0145, 0.6149], [0.2500, 0.9942, 0.3578]]}

***

Version ii
{"formula": "LiPr2Br2O4", "functional": "PBE-GGA", "state": "optimized geometry", "total_magnetization_mub_per_cell": 1.0, "lattice_angstrom": [[0.0000, -4.3557, 0.0000], [-5.0419, 0.0000, 2.6385], [-0.0016, 0.0000, -7.5963]], "species": ["Li", "Pr", "Pr", "Br", "Br", "O", "O", "O", "O"], "fractional_positions": [[0.7500, 0.3002, 0.9157], [0.7500, 0.1618, 0.3743], [0.2500, 0.8086, 0.6138], [0.7500, 0.7377, 0.9255], [0.2500, 0.3051, 0.0814], [0.7500, 0.6074, 0.4605], [0.2500, 0.2736, 0.5427], [0.7500, 0.0401, 0.6428], [0.2500, 0.9905, 0.3786]]}

***

Stability check: which of them is most stable? version i.

***

Version i
{"formula": "LiTa2Te4Br10O", "functional": "PBE-GGA", "state": "optimized geometry", "total_magnetization_mub_per_cell": 1.0, "lattice_angstrom": [[7.8143, -0.3118, -0.3207], [2.3193, 8.2636, -0.1862], [0.1595, 1.0736, 9.8676]], "species": ["Li", "Ta", "Ta", "Te", "Te", "Te", "Te", "Br", "Br", "Br", "Br", "Br", "Br", "Br", "Br", "Br", "Br", "O"], "fractional_positions": [[0.3794, 0.1622, 0.7780], [0.4861, 0.3617, 0.3580], [0.5117, 0.6382, 0.6331], [0.9151, 0.8054, 0.0076], [0.0952, 0.1950, 0.9930], [0.1810, 0.8970, 0.1453], [0.8375, 0.0938, 0.8471], [0.4609, 0.1614, 0.1791], [0.6063, 0.5372, 0.1932], [0.1722, 0.5305, 0.2817], [0.7820, 0.1923, 0.4318], [0.6581, 0.8003, 0.4784], [0.3234, 0.1956, 0.5187], [0.2080, 0.7993, 0.5768], [0.8191, 0.4802, 0.7302], [0.3903, 0.4627, 0.8183], [0.5267, 0.8494, 0.8266], [0.4970, 0.4948, 0.5033]]}

***

Version ii
{"formula": "LiTa2Te4Br10O", "functional": "PBE-GGA", "state": "optimized geometry", "total_magnetization_mub_per_cell": 1.0, "lattice_angstrom": [[7.4621, -0.1212, -0.3277], [2.4081, 8.6727, -0.2556], [0.1817, 1.0434, 9.9824]], "species": ["Li", "Ta", "Ta", "Te", "Te", "Te", "Te", "Br", "Br", "Br", "Br", "Br", "Br", "Br", "Br", "Br", "Br", "O"], "fractional_positions": [[0.9109, 0.4815, 0.4625], [0.4807, 0.3647, 0.3653], [0.5073, 0.6347, 0.6385], [0.9163, 0.8147, 0.0085], [0.0881, 0.1890, 0.9887], [0.1830, 0.9156, 0.1474], [0.8230, 0.0883, 0.8487], [0.4653, 0.1726, 0.1872], [0.5900, 0.5337, 0.1916], [0.1426, 0.5311, 0.2874], [0.8101, 0.2126, 0.4279], [0.6912, 0.7665, 0.4743], [0.3287, 0.2119, 0.5244], [0.2033, 0.8051, 0.5645], [0.8491, 0.4580, 0.7160], [0.3914, 0.4748, 0.8104], [0.5475, 0.8257, 0.8106], [0.4964, 0.4979, 0.5022]]}

***

Stability check: which of them is most stable? version ii.

***

Version i
{"formula": "LiTa2Te4Br10O", "functional": "PBE-GGA", "state": "optimized geometry", "total_magnetization_mub_per_cell": 1.0, "lattice_angstrom": [[-0.9815, 0.5098, -7.8111], [0.8650, -8.7334, -2.9090], [-9.4840, -2.5473, 1.7620]], "species": ["Li", "Ta", "Ta", "Te", "Te", "Te", "Te", "Br", "Br", "Br", "Br", "Br", "Br", "Br", "Br", "Br", "Br", "O"], "fractional_positions": [[0.4392, 0.9723, 0.5890], [0.4810, 0.3695, 0.3556], [0.5246, 0.6147, 0.6367], [0.9236, 0.8115, 0.0113], [0.0789, 0.1831, 0.9961], [0.1881, 0.9055, 0.1484], [0.8137, 0.0882, 0.8604], [0.4492, 0.1861, 0.1819], [0.6229, 0.5160, 0.1992], [0.1778, 0.5419, 0.2677], [0.7597, 0.1921, 0.4578], [0.6601, 0.7845, 0.4768], [0.2970, 0.2400, 0.5175], [0.2247, 0.7987, 0.5623], [0.8316, 0.4695, 0.7242], [0.3945, 0.4756, 0.8087], [0.5512, 0.8183, 0.8197], [0.4988, 0.4968, 0.4990]]}

***

Version ii
{"formula": "LiTa2Te4Br10O", "functional": "PBE-GGA", "state": "optimized geometry", "total_magnetization_mub_per_cell": 1.0, "lattice_angstrom": [[7.6249, -0.1121, -0.2198], [2.4714, 8.7022, -0.1333], [0.3163, 1.1366, 9.7191]], "species": ["Li", "Ta", "Ta", "Te", "Te", "Te", "Te", "Br", "Br", "Br", "Br", "Br", "Br", "Br", "Br", "Br", "Br", "O"], "fractional_positions": [[0.2652, 0.0148, 0.7110], [0.4727, 0.3716, 0.3584], [0.5163, 0.6288, 0.6332], [0.9244, 0.8187, 0.0107], [0.1020, 0.1881, 0.9853], [0.1806, 0.9119, 0.1532], [0.8363, 0.0961, 0.8444], [0.4480, 0.1816, 0.1801], [0.6170, 0.5223, 0.1891], [0.1572, 0.5471, 0.2791], [0.7655, 0.1912, 0.4420], [0.6501, 0.7938, 0.4659], [0.2887, 0.2328, 0.5291], [0.1959, 0.8080, 0.5772], [0.8332, 0.4717, 0.7111], [0.3845, 0.4836, 0.8208], [0.5417, 0.8287, 0.8220], [0.4874, 0.5021, 0.5000]]}

***

Version iii
{"formula": "LiTa2Te4Br10O", "functional": "PBE-GGA", "state": "optimized geometry", "total_magnetization_mub_per_cell": 1.0, "lattice_angstrom": [[-4.0865, 3.1174, -5.7513], [-3.5782, -6.8284, -4.4108], [-7.9693, -0.6343, 6.0938]], "species": ["Li", "Ta", "Ta", "Te", "Te", "Te", "Te", "Br", "Br", "Br", "Br", "Br", "Br", "Br", "Br", "Br", "Br", "O"], "fractional_positions": [[0.8021, 0.0983, 0.1949], [0.4787, 0.3724, 0.3663], [0.5180, 0.6372, 0.6419], [0.8985, 0.8176, 0.9995], [0.0814, 0.1881, 0.9880], [0.1759, 0.9023, 0.1426], [0.8102, 0.1034, 0.8456], [0.4642, 0.1677, 0.1725], [0.6093, 0.5198, 0.1933], [0.1632, 0.5352, 0.2798], [0.8049, 0.1922, 0.4260], [0.6769, 0.7817, 0.4919], [0.3531, 0.1999, 0.5136], [0.2102, 0.8073, 0.5701], [0.8401, 0.4563, 0.7268], [0.3970, 0.4741, 0.8065], [0.5382, 0.8323, 0.8263], [0.5032, 0.4999, 0.5020]]}

***

Stability check: which of them is most stable? version i.

***

Version i
{"formula": "MgNbTlBr4O", "functional": "PBE-GGA", "state": "optimized geometry", "total_magnetization_mub_per_cell": 1.9, "lattice_angstrom": [[-0.2760, -0.6513, -3.9047], [4.2245, -5.9326, 2.6862], [-7.4637, -1.9269, 0.8522]], "species": ["Mg", "Nb", "Tl", "Br", "Br", "Br", "Br", "O"], "fractional_positions": [[0.8136, 0.6334, 0.8880], [0.4911, 0.9874, 0.4910], [0.0449, 0.0863, 0.0525], [0.6350, 0.2713, 0.8156], [0.3529, 0.7065, 0.6822], [0.3431, 0.6951, 0.1480], [0.6345, 0.2712, 0.3502], [0.9843, 0.9737, 0.4891]]}

***

Version ii
{"formula": "MgNbTlBr4O", "functional": "PBE-GGA", "state": "optimized geometry", "total_magnetization_mub_per_cell": 2.0, "lattice_angstrom": [[3.9410, -0.0012, -0.0014], [-1.9692, 6.9397, -1.9429], [0.0016, 0.2447, 8.1789]], "species": ["Mg", "Nb", "Tl", "Br", "Br", "Br", "Br", "O"], "fractional_positions": [[0.1683, 0.3352, 0.5798], [0.4850, 0.9690, 0.4859], [0.9846, 0.9741, 0.0049], [0.6472, 0.2940, 0.7964], [0.3563, 0.7148, 0.6769], [0.3670, 0.7334, 0.1896], [0.6485, 0.2954, 0.3420], [0.0258, 0.0507, 0.5163]]}

***

Version iii
{"formula": "MgNbTlBr4O", "functional": "PBE-GGA", "state": "optimized geometry", "total_magnetization_mub_per_cell": 2.0, "lattice_angstrom": [[-1.6681, -3.5939, 0.5082], [-0.4107, 1.2568, -7.7389], [7.3124, -3.1508, 1.5893]], "species": ["Mg", "Nb", "Tl", "Br", "Br", "Br", "Br", "O"], "fractional_positions": [[0.2611, 0.5230, 0.8491], [0.4992, 0.9942, 0.4825], [0.0057, 0.0113, 0.0651], [0.6482, 0.2923, 0.8042], [0.3697, 0.7503, 0.6882], [0.3424, 0.6924, 0.1740], [0.6247, 0.2601, 0.3321], [0.9983, 0.9930, 0.4881]]}

***

Stability check: which of them is most stable? version ii.

***

Version i
{"formula": "MgNb2S4Br4", "functional": "PBE-GGA", "state": "optimized geometry", "total_magnetization_mub_per_cell": 0.0, "lattice_angstrom": [[6.2568, 0.5130, 2.4288], [3.9132, 7.4133, 0.2892], [-0.1488, 0.5205, 7.3575]], "species": ["Mg", "Nb", "Nb", "S", "S", "S", "S", "Br", "Br", "Br", "Br"], "fractional_positions": [[0.5000, 0.0000, 0.5000], [0.8436, 0.9327, 0.0183], [0.1564, 0.0673, 0.9817], [0.8016, 0.2334, 0.8918], [0.1984, 0.7666, 0.1082], [0.1267, 0.9241, 0.7109], [0.8733, 0.0759, 0.2891], [0.7171, 0.7056, 0.2687], [0.2829, 0.2944, 0.7313], [0.6675, 0.8199, 0.7926], [0.3325, 0.1801, 0.2074]]}

***

Version ii
{"formula": "MgNb2S4Br4", "functional": "PBE-GGA", "state": "optimized geometry", "total_magnetization_mub_per_cell": 0.0, "lattice_angstrom": [[8.1747, -0.8458, 2.8129], [3.8645, 5.6602, 0.3805], [0.4460, 0.1751, 6.7823]], "species": ["Mg", "Nb", "Nb", "S", "S", "S", "S", "Br", "Br", "Br", "Br"], "fractional_positions": [[0.9410, 0.4290, 0.5541], [0.9626, 0.8426, 0.9271], [0.0473, 0.1483, 0.0109], [0.8049, 0.2427, 0.8561], [0.0702, 0.8184, 0.2246], [0.2504, 0.8580, 0.7306], [0.8033, 0.0615, 0.2810], [0.8007, 0.5771, 0.2294], [0.1878, 0.4060, 0.7323], [0.7333, 0.8225, 0.7586], [0.2383, 0.1738, 0.2370]]}

***

Stability check: which of them is most stable? version ii.

***

Version i
{"formula": "MgP4Br12O4", "functional": "PBE-GGA", "state": "optimized geometry", "total_magnetization_mub_per_cell": 0.0, "lattice_angstrom": [[-6.3835, 0.3361, 3.1066], [1.3641, -10.0314, 0.5320], [4.8877, 1.2038, 9.9773]], "species": ["Mg", "P", "P", "P", "P", "Br", "Br", "Br", "Br", "Br", "Br", "Br", "Br", "Br", "Br", "Br", "Br", "O", "O", "O", "O"], "fractional_positions": [[0.5018, 0.9958, 0.2456], [0.3658, 0.3100, 0.2465], [0.6158, 0.6885, 0.7456], [0.9078, 0.1890, 0.7446], [0.0765, 0.7887, 0.2458], [0.7930, 0.6523, 0.5897], [0.8440, 0.0521, 0.2447], [0.3352, 0.8468, 0.4103], [0.7219, 0.1493, 0.9017], [0.2070, 0.3556, 0.4038], [0.7943, 0.6540, 0.9007], [0.3831, 0.5202, 0.7468], [0.7211, 0.1452, 0.5890], [0.0890, 0.0308, 0.7458], [0.2068, 0.3554, 0.0897], [0.3335, 0.8485, 0.0804], [0.6293, 0.4496, 0.2458], [0.5514, 0.8203, 0.7453], [0.0164, 0.3248, 0.7431], [0.4002, 0.1683, 0.2466], [0.0167, 0.6425, 0.2449]]}

***

Version ii
{"formula": "MgP4Br12O4", "functional": "PBE-GGA", "state": "optimized geometry", "total_magnetization_mub_per_cell": 0.0, "lattice_angstrom": [[-4.2505, 4.2356, 2.1268], [1.2052, -5.9015, 9.2355], [8.5069, 6.7923, 3.3405]], "species": ["Mg", "P", "P", "P", "P", "Br", "Br", "Br", "Br", "Br", "Br", "Br", "Br", "Br", "Br", "Br", "Br", "O", "O", "O", "O"], "fractional_positions": [[0.6188, 0.8140, 0.2455], [0.3659, 0.3100, 0.2444], [0.6387, 0.6761, 0.7454], [0.9073, 0.1820, 0.7450], [0.0941, 0.8507, 0.2438], [0.8421, 0.6486, 0.5938], [0.8289, 0.0245, 0.2523], [0.3365, 0.7727, 0.4058], [0.6999, 0.1436, 0.8988], [0.1842, 0.3503, 0.3993], [0.8429, 0.6497, 0.8982], [0.3913, 0.5149, 0.7465], [0.6988, 0.1430, 0.5915], [0.1067, 0.0355, 0.7464], [0.1816, 0.3561, 0.0910], [0.3429, 0.7740, 0.0831], [0.6471, 0.4546, 0.2454], [0.5599, 0.7951, 0.7440], [0.0290, 0.3069, 0.7440], [0.4184, 0.1844, 0.2428], [0.9005, 0.7507, 0.2430]]}

***

Stability check: which of them is most stable? version i.